The following is a DFT calculation (r2SCAN) of a relaxed LuZn3 crystal.

Values from the calculation:
**VASP energy**: -1.2191 Ry per atom

a b c (Å): 6.5488 4.2390 9.8889
angles (deg): 90.00 90.00 90.00
Last column: nearest neighbours and their distance in Å.
Atoms (fractional coordinates):
Lu: 0.2218 0.2500 0.1647  12 Zn 2.90-3.23
Lu: 0.2782 0.7500 0.6647  12 Zn 2.90-3.23
Lu: 0.7218 0.2500 0.3353  12 Zn 2.90-3.23
Lu: 0.7782 0.7500 0.8353  12 Zn 2.90-3.23
Zn: 0.0377 0.7500 0.3977  5 Zn 2.54-2.72
Zn: 0.0797 0.2500 0.8518  5 Zn 2.53-2.71
Zn: 0.2170 0.7500 0.9575  6 Zn 2.53-2.72
Zn: 0.2830 0.2500 0.4575  6 Zn 2.53-2.72
Zn: 0.4203 0.7500 0.3518  5 Zn 2.53-2.71
Zn: 0.4623 0.2500 0.8977  5 Zn 2.54-2.72
Zn: 0.5377 0.7500 0.1023  5 Zn 2.54-2.72
Zn: 0.5797 0.2500 0.6482  5 Zn 2.53-2.71
Zn: 0.7170 0.7500 0.5425  6 Zn 2.53-2.72
Zn: 0.7830 0.2500 0.0425  6 Zn 2.53-2.72
Zn: 0.9203 0.7500 0.1482  5 Zn 2.53-2.71
Zn: 0.9623 0.2500 0.6023  5 Zn 2.54-2.72